The following is a DFT calculation (GGA-PBE) of a geometry-optimized Y2CdHg structure.

Summary:
Offset from the most stable computed form (eV per atom): 0.000
Space group: Fm-3m, No. 225

a b c (Å): 5.296 5.296 5.296
angles (deg): 60.00 60.00 60.00
Element x y z (fractional)
Cd  0.500  0.500  0.500
Hg  0.000  0.000  0.000
Y  0.750  0.750  0.750
Y  0.250  0.250  0.250

The following is a DFT calculation (GGA-PBE) of a geometry-optimized HoCd3 structure.

Summary:
Space group: Cmcm, No. 63

a b c (Å): 6.516 6.516 4.881
angles (deg): 90.00 90.00 113.02
Element x y z (fractional)
Cd  0.119  0.311  0.750
Cd  0.177  0.823  0.750
Cd  0.311  0.119  0.250
Cd  0.823  0.177  0.250
Cd  0.689  0.881  0.750
Cd  0.881  0.689  0.250
Ho  0.367  0.633  0.250
Ho  0.633  0.367  0.750

The following is a DFT calculation (GGA-PBE) of a geometry-optimized Ho11Cd45 structure.

Summary:
Space group: F-43m, No. 216
Total moment (μB/cell): 0.5

a b c (Å): 15.349 15.349 15.349
angles (deg): 60.00 60.00 60.00
Element x y z (fractional)
Cd  0.156  0.844  0.844
Cd  0.764  0.764  0.405
Cd  0.263  0.612  0.263
Cd  0.862  0.263  0.263
Cd  0.201  0.391  0.391
Cd  0.913  0.913  0.913
Cd  0.764  0.405  0.764
Cd  0.018  0.201  0.391
Cd  0.269  0.640  0.450
Cd  0.141  0.512  0.834
Cd  0.764  0.068  0.764
Cd  0.612  0.862  0.263
Cd  0.509  0.164  0.164
Cd  0.201  0.391  0.018
Cd  0.764  0.764  0.068
Cd  0.640  0.640  0.450
Cd  0.512  0.141  0.834
Cd  0.612  0.263  0.862
Cd  0.405  0.068  0.764
Cd  0.844  0.844  0.156
Cd  0.844  0.156  0.156
Cd  0.750  0.750  0.750
Cd  0.068  0.764  0.764
Cd  0.589  0.911  0.911
Cd  0.640  0.450  0.640
Cd  0.844  0.156  0.844
Cd  0.834  0.512  0.141
Cd  0.512  0.834  0.141
Cd  0.640  0.450  0.269
Cd  0.263  0.862  0.263
Cd  0.405  0.764  0.764
Cd  0.450  0.640  0.640
Cd  0.164  0.509  0.164
Cd  0.512  0.512  0.834
Cd  0.263  0.263  0.612
Cd  0.450  0.269  0.640
Cd  0.263  0.263  0.862
Cd  0.269  0.450  0.640
Cd  0.834  0.512  0.512
Cd  0.589  0.911  0.589
Cd  0.913  0.260  0.913
Cd  0.391  0.018  0.201
Cd  0.263  0.612  0.862
Cd  0.911  0.911  0.589
Cd  0.083  0.750  0.083
Cd  0.083  0.083  0.083
Cd  0.201  0.018  0.391
Cd  0.391  0.391  0.018
Cd  0.156  0.844  0.156
Cd  0.018  0.391  0.201
Cd  0.830  0.830  0.830
Cd  0.164  0.164  0.164
Cd  0.391  0.018  0.391
Cd  0.764  0.068  0.405
Cd  0.141  0.834  0.512
Cd  0.018  0.391  0.391
Cd  0.640  0.640  0.269
Cd  0.512  0.141  0.512
Cd  0.750  0.083  0.083
Cd  0.640  0.269  0.640
Cd  0.263  0.862  0.612
Cd  0.830  0.830  0.510
Cd  0.510  0.830  0.830
Cd  0.640  0.269  0.450
Cd  0.141  0.512  0.512
Cd  0.391  0.201  0.391
Cd  0.068  0.405  0.764
Cd  0.260  0.913  0.913
Cd  0.391  0.201  0.018
Cd  0.911  0.589  0.589
Cd  0.083  0.083  0.750
Cd  0.405  0.764  0.068
Cd  0.830  0.510  0.830
Cd  0.269  0.640  0.640
Cd  0.391  0.391  0.201
Cd  0.764  0.405  0.068
Cd  0.862  0.612  0.263
Cd  0.164  0.164  0.509
Cd  0.512  0.834  0.512
Cd  0.834  0.141  0.512
Cd  0.589  0.589  0.911
Cd  0.913  0.913  0.260
Cd  0.862  0.263  0.612
Cd  0.068  0.764  0.405
Cd  0.512  0.512  0.141
Cd  0.612  0.263  0.263
Cd  0.450  0.640  0.269
Cd  0.911  0.589  0.911
Cd  0.500  0.500  0.500
Cd  0.156  0.156  0.844
Ho  0.406  0.781  0.406
Ho  0.014  0.639  0.334
Ho  0.014  0.014  0.334
Ho  0.662  0.014  0.662
Ho  0.639  0.014  0.014
Ho  0.014  0.639  0.014
Ho  0.334  0.014  0.639
Ho  0.662  0.662  0.662
Ho  0.014  0.334  0.014
Ho  0.250  0.250  0.250
Ho  0.639  0.334  0.014
Ho  0.014  0.014  0.639
Ho  0.639  0.014  0.334
Ho  0.406  0.406  0.781
Ho  0.406  0.406  0.406
Ho  0.014  0.662  0.662
Ho  0.014  0.334  0.639
Ho  0.334  0.014  0.014
Ho  0.662  0.662  0.014
Ho  0.781  0.406  0.406
Ho  0.334  0.639  0.014
Ho  0.000  0.000  0.000

The following is a DFT calculation (GGA-PBE) of a geometry-optimized HoCdIn structure.

Summary:
Space group: P-3m1, No. 164

a b c (Å): 4.879 4.879 7.384
angles (deg): 90.00 90.00 120.00
Element x y z (fractional)
In  0.667  0.333  0.950
In  0.333  0.667  0.050
Ho  0.000  0.000  0.263
Ho  0.000  0.000  0.737
Cd  0.333  0.667  0.473
Cd  0.667  0.333  0.527

The following is a DFT calculation (GGA-PBE) of a geometry-optimized Ho2CdIn structure.

Summary:
Space group: Fm-3m, No. 225

a b c (Å): 5.286 5.286 5.286
angles (deg): 60.00 60.00 60.00
Element x y z (fractional)
Ho  0.250  0.250  0.250
Ho  0.750  0.750  0.750
Cd  0.500  0.500  0.500
In  0.000  0.000  0.000

The following is a DFT calculation (GGA-PBE) of a geometry-optimized Ho4CdIr structure.

Summary:
Space group: F-43m, No. 216

a b c (Å): 9.594 9.594 9.594
angles (deg): 60.00 60.00 60.00
Element x y z (fractional)
Ir  0.392  0.824  0.392
Ir  0.824  0.392  0.392
Ir  0.392  0.392  0.824
Ir  0.392  0.392  0.392
Ho  0.061  0.061  0.439
Ho  0.813  0.187  0.187
Ho  0.813  0.813  0.187
Ho  0.439  0.439  0.061
Ho  0.187  0.813  0.813
Ho  0.599  0.599  0.599
Ho  0.061  0.439  0.439
Ho  0.439  0.061  0.439
Ho  0.187  0.187  0.813
Ho  0.599  0.203  0.599
Ho  0.187  0.813  0.187
Ho  0.439  0.061  0.061
Ho  0.061  0.439  0.061
Ho  0.203  0.599  0.599
Ho  0.813  0.187  0.813
Ho  0.599  0.599  0.203
Cd  0.506  0.831  0.831
Cd  0.831  0.831  0.831
Cd  0.831  0.831  0.506
Cd  0.831  0.506  0.831

In the order shown, the computed calculated formation energy values come out to -0.427, -0.267, -0.220, -0.361, -0.398, -0.533 eV/atom.